# CaNi2N2, optimized geometry, DFT GGA-PBE
# DFT total energy   -6.045 eV per atom
# Formation energy   -142 meV per atom
data_CaNi2N2
_cell_length_a 3.4626
_cell_length_b 3.4626
_cell_length_c 6.0430
_cell_angle_alpha 90.00
_cell_angle_beta 90.00
_cell_angle_gamma 90.00
_symmetry_space_group_name_H-M 'P -4 m 2'
_symmetry_Int_Tables_number 115
_symmetry_space_group_name_Hall 'P -4 -2'
loop_
_atom_site_label
_atom_site_fract_x
_atom_site_fract_y
_atom_site_fract_z
_atom_site_occupancy
Ca1 0.0000 0.0000 0.0000 1
Ni1 0.5000 0.5000 0.2959 1
N1 0.0000 0.5000 0.7181 1